## LiMgH6Ir (PBE-GGA)

Data for a relaxed LiMgH6Ir crystal.

Cell lengths 6.6634, 6.6634, 6.6634 Å; angles 90.00, 90.00, 90.00 degrees
Closest atoms and distances in Å follow each position.
Fractional positions:
1 Li 0.0000 0.0000 0.5000  12 H 2.33-2.36
2 Li 0.0000 0.5000 0.0000  12 H 2.33-2.36
3 Li 0.5000 0.0000 0.0000  12 H 2.33-2.36
4 Li 0.0000 0.0000 0.0000  12 H 2.35
5 Mg 0.5000 0.5000 0.5000  12 H 2.38
6 Mg 0.0000 0.5000 0.5000  12 H 2.36
7 Mg 0.5000 0.0000 0.5000  12 H 2.36
8 Mg 0.5000 0.5000 0.0000  12 H 2.36
9 H 0.7524 0.7524 0.5072  1 Ir 1.67
10 H 0.2476 0.2476 0.5072  1 Ir 1.67
11 H 0.0065 0.7504 0.7504  1 Ir 1.67
12 H 0.2496 0.9935 0.7504  1 Ir 1.67
13 H 0.7504 0.0065 0.7504  1 Ir 1.67
14 H 0.9935 0.2496 0.7504  1 Ir 1.67
15 H 0.7524 0.5072 0.7524  1 Ir 1.67
16 H 0.5072 0.7524 0.7524  1 Ir 1.67
17 H 0.4928 0.2476 0.7524  1 Ir 1.67
18 H 0.2476 0.4928 0.7524  1 Ir 1.67
19 H 0.2496 0.7504 0.9935  1 Ir 1.67
20 H 0.7504 0.2496 0.9935  1 Ir 1.67
21 H 0.7504 0.7504 0.0065  1 Ir 1.67
22 H 0.2496 0.2496 0.0065  1 Ir 1.67
23 H 0.2476 0.5072 0.2476  1 Ir 1.67
24 H 0.4928 0.7524 0.2476  1 Ir 1.67
25 H 0.5072 0.2476 0.2476  1 Ir 1.67
26 H 0.7524 0.4928 0.2476  1 Ir 1.67
27 H 0.9935 0.7504 0.2496  1 Ir 1.67
28 H 0.7504 0.9935 0.2496  1 Ir 1.67
29 H 0.2496 0.0065 0.2496  1 Ir 1.67
30 H 0.0065 0.2496 0.2496  1 Ir 1.67
31 H 0.2476 0.7524 0.4928  1 Ir 1.67
32 H 0.7524 0.2476 0.4928  1 Ir 1.67
33 Ir 0.2568 0.7432 0.7432  6 H 1.67
34 Ir 0.7432 0.2568 0.7432  6 H 1.67
35 Ir 0.7432 0.7432 0.2568  6 H 1.67
36 Ir 0.2568 0.2568 0.2568  6 H 1.67

Values from the calculation:
Piezoelectric modulus e_max ... 0.02 C/m²
Total DFT energy (no corrections) ... -4.034 eV/atom
Total magnetic moment ... 0.00 μB per atom
Formation energy ... -400 meV per atom